Ba6Sm2Ga4O15 | PBE | optimized geometry

## Properties
**Energy with MP2020 corrections**: -187.30 eV per formula unit

The structure in CIF format:
```
data_Ba6Sm2Ga4O15
_symmetry_space_group_name_H-M 'P 1 2/c 1'
_symmetry_Int_Tables_number 13
_cell_length_a 8.1172
_cell_length_b 6.0924
_cell_length_c 18.7827
_cell_angle_alpha 90.00
_cell_angle_beta 91.07
_cell_angle_gamma 90.00
loop_
_symmetry_equiv_pos_as_xyz
'x,y,z'
'-x,-y,-z'
'-x,y,-z+1/2'
'x,-y,z+1/2'
loop_
_atom_site_label
_atom_site_fract_x
_atom_site_fract_y
_atom_site_fract_z
Ba1 0.0000 0.1664 0.2500
Ba2 0.0012 0.2559 0.5794
Ba3 0.4692 0.2420 0.9095
Ba4 0.5000 0.2238 0.2500
Sm1 0.2515 0.2441 0.0904
Ga1 0.2537 0.2540 0.4400
Ga2 0.2709 0.2772 0.7356
O1 0.0356 0.2570 0.4057
O2 0.1902 0.1765 0.8196
O3 0.2273 0.4532 0.1938
O4 0.2468 0.0564 0.6658
O5 0.2630 0.4983 0.0011
O6 0.2652 0.0058 0.4996
O7 0.4505 0.2598 0.3898
O8 0.5000 0.2894 0.7500
```

Ba6Tm2Ga4O15 | PBE | optimized geometry

## Properties
**Energy with MP2020 corrections**: -188.20 eV per formula unit

The structure in CIF format:
```
data_Ba6Tm2Ga4O15
_symmetry_space_group_name_H-M 'P 1 2/c 1'
_symmetry_Int_Tables_number 13
_cell_length_a 8.0150
_cell_length_b 6.0071
_cell_length_c 18.5832
_cell_angle_alpha 90.00
_cell_angle_beta 91.45
_cell_angle_gamma 90.00
loop_
_symmetry_equiv_pos_as_xyz
'x,y,z'
'-x,-y,-z'
'-x,y,-z+1/2'
'x,-y,z+1/2'
loop_
_atom_site_label
_atom_site_fract_x
_atom_site_fract_y
_atom_site_fract_z
Ba1 0.0000 0.1688 0.2500
Ba2 0.0014 0.2564 0.5782
Ba3 0.4733 0.2459 0.9109
Ba4 0.5000 0.2223 0.2500
Tm1 0.2515 0.2456 0.0897
Ga1 0.2541 0.2492 0.4421
Ga2 0.2696 0.2740 0.7328
O1 0.0308 0.2548 0.4093
O2 0.1872 0.1735 0.8173
O3 0.2259 0.4574 0.1875
O4 0.2500 0.0443 0.6637
O5 0.2640 0.4952 0.5065
O6 0.2652 0.0064 0.0007
O7 0.4554 0.2610 0.3928
O8 0.5000 0.2955 0.7500
```

Ba6Y2Ga4O15 | PBE | optimized geometry

## Properties
**Energy with MP2020 corrections**: -191.50 eV per formula unit

The structure in CIF format:
```
data_Ba6Y2Ga4O15
_symmetry_space_group_name_H-M 'P 1 2/c 1'
_symmetry_Int_Tables_number 13
_cell_length_a 8.0711
_cell_length_b 6.0406
_cell_length_c 18.6508
_cell_angle_alpha 90.00
_cell_angle_beta 91.27
_cell_angle_gamma 90.00
loop_
_symmetry_equiv_pos_as_xyz
'x,y,z'
'-x,-y,-z'
'-x,y,-z+1/2'
'x,-y,z+1/2'
loop_
_atom_site_label
_atom_site_fract_x
_atom_site_fract_y
_atom_site_fract_z
Ba1 0.0000 0.1668 0.2500
Ba2 0.0013 0.2566 0.5786
Ba3 0.4717 0.2444 0.9102
Ba4 0.5000 0.2233 0.2500
Y1 0.2518 0.2454 0.0901
Ga1 0.2542 0.2513 0.4413
Ga2 0.2705 0.2753 0.7338
O1 0.0333 0.2563 0.4079
O2 0.1888 0.1739 0.8185
O3 0.2257 0.4555 0.1905
O4 0.2485 0.0498 0.6642
O5 0.2638 0.4957 0.5049
O6 0.2654 0.0034 0.9996
O7 0.4535 0.2615 0.3913
O8 0.5000 0.2937 0.7500
```

BaYZn3GaO7 | PBE | optimized geometry

## Properties
**Energy with MP2020 corrections**: -82.81 eV per formula unit

The structure in CIF format:
```
data_BaYZn3GaO7
_symmetry_space_group_name_H-M 'P 63 m c'
_symmetry_Int_Tables_number 186
_symmetry_space_group_name_Hall 'P 6c -2c'
_cell_length_a 6.4349
_cell_length_b 6.4349
_cell_length_c 10.3922
_cell_angle_alpha 90.00
_cell_angle_beta 90.00
_cell_angle_gamma 120.00
loop_
_atom_site_label
_atom_site_fract_x
_atom_site_fract_y
_atom_site_fract_z
Ba1 0.3333 0.6667 0.0000
Y1 0.3333 0.6667 0.6433
Zn1 0.1706 0.3413 0.3262
Ga1 0.0000 0.0000 0.0761
O1 0.0000 0.0000 0.2578
O2 0.0107 0.5053 0.7724
O3 0.1591 0.3182 0.5193
```

Ba7Ga4P9 | PBE | optimized geometry

## Properties
**E**: -4.564 eV/atom

The structure in CIF format:
```
data_Ba7Ga4P9
_symmetry_space_group_name_H-M 'P m m n'
_symmetry_Int_Tables_number 59
_cell_length_a 9.9348
_cell_length_b 16.7971
_cell_length_c 6.7693
_cell_angle_alpha 90.00
_cell_angle_beta 90.00
_cell_angle_gamma 90.00
loop_
_symmetry_equiv_pos_as_xyz
'x,y,z'
'-x,-y,-z'
'-x+1/2,-y+1/2,z'
'x+1/2,y+1/2,-z'
'x+1/2,-y,-z'
'-x+1/2,y,z'
'-x,y+1/2,-z'
'x,-y+1/2,z'
loop_
_atom_site_label
_atom_site_fract_x
_atom_site_fract_y
_atom_site_fract_z
Ba1 0.0294 0.1252 0.0591
Ba2 0.2500 0.0335 0.5523
Ba3 0.2500 0.7500 0.5996
Ga1 0.0781 0.2500 0.5746
Ga2 0.2500 0.6274 0.2329
P1 0.0416 0.6240 0.4354
P2 0.2500 0.2500 0.3093
P3 0.2500 0.2500 0.8385
P4 0.2500 0.5146 0.0232
P5 0.2500 0.7500 0.0489
```

Ba2PrGaS5 | PBE | optimized geometry

## Properties
**Energy with MP2020 corrections**: -50.07 eV per formula unit

The structure in CIF format:
```
data_Ba2PrGaS5
_symmetry_space_group_name_H-M 'F m m m'
_symmetry_Int_Tables_number 69
_symmetry_space_group_name_Hall '-F 2 2'
_cell_length_a 11.5298
_cell_length_b 11.7834
_cell_length_c 13.6911
_cell_angle_alpha 90.00
_cell_angle_beta 90.00
_cell_angle_gamma 90.00
loop_
_atom_site_label
_atom_site_fract_x
_atom_site_fract_y
_atom_site_fract_z
Ba1 0.0000 0.1585 0.0000
Ba2 0.2500 0.2500 0.2500
Pr1 0.1664 0.0000 0.5000
Ga1 0.0000 0.0000 0.2478
S1 0.0000 0.1396 0.3611
S2 0.1570 0.0000 0.1463
S3 0.2500 0.2500 0.0000
```

BaGa2Pt2 | PBE | optimized geometry

## Properties
**E**: -4.837 eV/atom

The structure in CIF format:
```
data_BaGa2Pt2
_symmetry_space_group_name_H-M 'P 1 21/c 1'
_symmetry_Int_Tables_number 14
_cell_length_a 8.6863
_cell_length_b 6.4705
_cell_length_c 8.4708
_cell_angle_alpha 90.00
_cell_angle_beta 97.83
_cell_angle_gamma 90.00
loop_
_symmetry_equiv_pos_as_xyz
'x,y,z'
'-x,-y,-z'
'-x,y+1/2,-z+1/2'
'x,-y+1/2,z+1/2'
loop_
_atom_site_label
_atom_site_fract_x
_atom_site_fract_y
_atom_site_fract_z
Ba1 0.2338 0.1096 0.0022
Ga1 0.0759 0.5786 0.8742
Ga2 0.4400 0.6541 0.1919
Pt1 0.1464 0.6695 0.1734
Pt2 0.3728 0.5955 0.8951
```

Ba2GaS4 | PBE | optimized geometry

## Properties
**Energy with MP2020 corrections**: -36.00 eV per formula unit

The structure in CIF format:
```
data_Ba2GaS4
_symmetry_space_group_name_H-M 'P 1 21/c 1'
_symmetry_Int_Tables_number 14
_cell_length_a 12.8701
_cell_length_b 6.2921
_cell_length_c 20.1440
_cell_angle_alpha 90.00
_cell_angle_beta 104.31
_cell_angle_gamma 90.00
loop_
_symmetry_equiv_pos_as_xyz
'x,y,z'
'-x,-y,-z'
'-x,y+1/2,-z+1/2'
'x,-y+1/2,z+1/2'
loop_
_atom_site_label
_atom_site_fract_x
_atom_site_fract_y
_atom_site_fract_z
Ba1 0.0269 0.2309 0.1876
Ba2 0.1166 0.2353 0.4627
Ba3 0.3539 0.7422 0.4511
Ba4 0.3951 0.2356 0.2865
Ga1 0.1969 0.6875 0.6006
Ga2 0.3827 0.1828 0.5986
S1 0.0815 0.7255 0.1641
S2 0.1127 0.7328 0.4850
S3 0.1859 0.0656 0.3276
S4 0.1862 0.0987 0.8271
S5 0.2309 0.1765 0.1265
S6 0.3683 0.6821 0.1156
S7 0.3836 0.2452 0.4881
S8 0.4622 0.7357 0.3234
```